Entry 1:
Density functional theory data (PBE-GGA) for a relaxed KCu3S2ClO9 crystal.

Cell lengths 9.809, 13.036, 7.218 Å; angles 90.00, 90.00, 90.00 degrees
Fractional coordinates of all 64 atoms:
K1 0.136 0.075 0.000
K2 0.364 0.575 0.500
K3 0.636 0.425 0.000
K4 0.864 0.925 0.500
Cu1 0.001 0.500 0.238
Cu2 0.153 0.648 0.988
Cu3 0.221 0.406 0.990
Cu4 0.279 0.906 0.490
Cu5 0.347 0.148 0.488
Cu6 0.499 0.000 0.738
Cu7 0.501 0.000 0.238
Cu8 0.653 0.852 0.988
Cu9 0.721 0.094 0.990
Cu10 0.779 0.594 0.490
Cu11 0.847 0.352 0.488
Cu12 0.999 0.500 0.738
S1 0.071 0.709 0.492
S2 0.166 0.355 0.488
S3 0.334 0.855 0.988
S4 0.429 0.209 0.992
S5 0.571 0.791 0.492
S6 0.666 0.145 0.488
S7 0.834 0.645 0.988
S8 0.929 0.291 0.992
Cl1 0.141 0.057 0.493
Cl2 0.359 0.557 0.993
Cl3 0.641 0.443 0.493
Cl4 0.859 0.943 0.993
O1 0.043 0.290 0.484
O2 0.077 0.509 0.987
O3 0.082 0.286 0.998
O4 0.113 0.821 0.495
O5 0.121 0.658 0.322
O6 0.127 0.654 0.655
O7 0.168 0.424 0.658
O8 0.172 0.425 0.322
O9 0.208 0.794 0.992
O10 0.292 0.294 0.492
O11 0.328 0.925 0.822
O12 0.332 0.924 0.158
O13 0.373 0.154 0.155
O14 0.379 0.158 0.822
O15 0.387 0.321 0.995
O16 0.418 0.786 0.498
O17 0.423 0.009 0.487
O18 0.457 0.790 0.984
O19 0.543 0.210 0.484
O20 0.577 0.991 0.987
O21 0.582 0.214 0.998
O22 0.613 0.679 0.495
O23 0.621 0.842 0.322
O24 0.627 0.846 0.655
O25 0.668 0.076 0.658
O26 0.672 0.075 0.322
O27 0.708 0.706 0.992
O28 0.792 0.206 0.492
O29 0.828 0.575 0.822
O30 0.832 0.576 0.158
O31 0.873 0.346 0.155
O32 0.879 0.342 0.822
O33 0.887 0.179 0.995
O34 0.918 0.714 0.498
O35 0.923 0.491 0.487
O36 0.957 0.710 0.984

Values from the calculation:
E_form = -24.40 eV/f.u.
ρ = 3.41 g/cm³
Total magnetization = 8.00 μB per cell
MP2020-corrected energy = -5.78 eV/atom
Total DFT energy (no corrections) = -5.392 eV/atom
Space group = Pna2_1 (33)


Entry 2:
Density functional theory data (PBE-GGA) for a relaxed LaB2Ir2C crystal.

Cell lengths 5.934, 5.934, 5.934 Å; angles 141.69, 141.69, 55.29 degrees
Fractional coordinates of all 6 atoms:
La1 0.000 0.000 0.000
B1 0.356 0.356 0.000
B2 0.644 0.644 0.000
Ir1 0.250 0.750 0.500
Ir2 0.750 0.250 0.500
C1 0.500 0.500 0.000

Values from the calculation:
E_form = -3.45 eV/f.u.
ρ = 11.61 g/cm³
Total magnetization = 0.00 μB per cell
Total DFT energy (no corrections) = -8.109 eV/atom
Space group = I4/mmm (139)